Arrangement 1

Below is a geometry-optimized KAlSi2O6 structure, with properties calculated at the GGA-PBE level.

## Properties
Symmetry ... I4_1/a
Total magnetic moment ... 0.0 μB per cell

a = 11.6522 Å, b = 11.6522 Å, c = 11.6522 Å
α = 111.21°, β = 111.21°, γ = 106.05°
With the nearest neighbours (Å) after each atom.
Fractional coordinates of all 80 atoms:
K1 0.0286 0.7570 0.0123  6 O 2.91-3.24
K2 0.2447 0.0163 0.4877  6 O 2.91-3.24
K3 0.2570 0.7447 0.7284  6 O 2.91-3.24
K4 0.4837 0.4714 0.2284  6 O 2.91-3.24
K5 0.5163 0.5286 0.7716  6 O 2.91-3.24
K6 0.7430 0.2553 0.2716  6 O 2.91-3.24
K7 0.7553 0.9837 0.5123  6 O 2.91-3.24
K8 0.9714 0.2430 0.9877  6 O 2.91-3.24
Al1 0.0410 0.9830 0.7800  4 O 1.74-1.77
Al2 0.2390 0.4590 0.4420  4 O 1.74-1.77
Al3 0.2970 0.7390 0.2800  4 O 1.74-1.77
Al4 0.4830 0.2030 0.9420  4 O 1.74-1.77
Al5 0.5170 0.7970 0.0580  4 O 1.74-1.77
Al6 0.7030 0.2610 0.7200  4 O 1.74-1.77
Al7 0.7610 0.5410 0.5580  4 O 1.74-1.77
Al8 0.9590 0.0170 0.2200  4 O 1.74-1.77
Si1 0.0639 0.6130 0.3410  4 O 1.61-1.65
Si2 0.1130 0.2720 0.5490  4 O 1.61-1.65
Si3 0.2229 0.5639 0.9510  4 O 1.61-1.65
Si4 0.2244 0.1891 0.2425  4 O 1.62-1.66
Si5 0.2280 0.2771 0.8410  4 O 1.61-1.65
Si6 0.3109 0.0534 0.0353  4 O 1.62-1.66
Si7 0.4466 0.9819 0.2575  4 O 1.62-1.66
Si8 0.4819 0.7244 0.5353  4 O 1.62-1.66
Si9 0.5181 0.2756 0.4647  4 O 1.62-1.66
Si10 0.5534 0.0181 0.7425  4 O 1.62-1.66
Si11 0.6891 0.9466 0.9647  4 O 1.62-1.66
Si12 0.7720 0.7229 0.1590  4 O 1.61-1.65
Si13 0.7756 0.8109 0.7575  4 O 1.62-1.66
Si14 0.7771 0.4361 0.0490  4 O 1.61-1.65
Si15 0.8870 0.7280 0.4510  4 O 1.61-1.65
Si16 0.9361 0.3870 0.6590  4 O 1.61-1.65
O1 0.0171 0.7038 0.4430  2 Si 1.64-1.65
O2 0.0458 0.1238 0.4063  1 Si 1.61, 1 Al 1.74
O3 0.0741 0.5171 0.8133  2 Si 1.64-1.65
O4 0.0872 0.0448 0.1719  1 Si 1.62, 1 Al 1.77
O5 0.0986 0.1558 0.8192  1 Si 1.62, 1 Al 1.75
O6 0.1395 0.5458 0.4220  1 Si 1.61, 1 Al 1.74
O7 0.1635 0.7206 0.3192  1 Si 1.62, 1 Al 1.75
O8 0.1777 0.9534 0.8716  1 Si 1.63, 1 Al 1.77
O9 0.1939 0.3223 0.2758  1 Si 1.63, 1 Al 1.77
O10 0.2038 0.2609 0.6867  2 Si 1.64-1.65
O11 0.2176 0.6395 0.0937  1 Si 1.61, 1 Al 1.74
O12 0.2206 0.4014 0.5572  1 Si 1.62, 1 Al 1.75
O13 0.2391 0.4259 0.9430  2 Si 1.64-1.65
O14 0.2838 0.1767 0.1316  2 Si 1.65-1.66
O15 0.3233 0.9550 0.1071  2 Si 1.65-1.66
O16 0.3442 0.6635 0.9428  1 Si 1.62, 1 Al 1.75
O17 0.3479 0.2162 0.3929  2 Si 1.65-1.66
O18 0.3729 0.9153 0.3281  1 Si 1.62, 1 Al 1.77
O19 0.3762 0.2824 0.9220  1 Si 1.61, 1 Al 1.74
O20 0.4153 0.5872 0.5424  1 Si 1.62, 1 Al 1.77
O21 0.4181 0.6939 0.3716  1 Si 1.63, 1 Al 1.77
O22 0.4534 0.0819 0.7758  1 Si 1.63, 1 Al 1.77
O23 0.4552 0.1271 0.0424  1 Si 1.62, 1 Al 1.77
O24 0.4550 0.8478 0.6316  2 Si 1.65-1.66
O25 0.5450 0.1522 0.3684  2 Si 1.65-1.66
O26 0.5448 0.8729 0.9576  1 Si 1.62, 1 Al 1.77
O27 0.5466 0.9181 0.2242  1 Si 1.63, 1 Al 1.77
O28 0.5819 0.3061 0.6284  1 Si 1.63, 1 Al 1.77
O29 0.5847 0.4128 0.4576  1 Si 1.62, 1 Al 1.77
O30 0.6238 0.7176 0.0780  1 Si 1.61, 1 Al 1.74
O31 0.6271 0.0847 0.6719  1 Si 1.62, 1 Al 1.77
O32 0.6522 0.7838 0.6071  2 Si 1.65-1.66
O33 0.6558 0.3365 0.0572  1 Si 1.62, 1 Al 1.75
O34 0.6767 0.0450 0.8929  2 Si 1.65-1.66
O35 0.7162 0.8233 0.8684  2 Si 1.65-1.66
O36 0.7609 0.5741 0.0570  2 Si 1.64-1.65
O37 0.7794 0.5986 0.4428  1 Si 1.62, 1 Al 1.75
O38 0.7824 0.3605 0.9063  1 Si 1.61, 1 Al 1.74
O39 0.7962 0.7391 0.3133  2 Si 1.64-1.65
O40 0.8061 0.6777 0.7242  1 Si 1.63, 1 Al 1.77
O41 0.8223 0.0466 0.1284  1 Si 1.63, 1 Al 1.77
O42 0.8365 0.2794 0.6808  1 Si 1.62, 1 Al 1.75
O43 0.8605 0.4542 0.5780  1 Si 1.61, 1 Al 1.74
O44 0.9014 0.8442 0.1808  1 Si 1.62, 1 Al 1.75
O45 0.9128 0.9552 0.8281  1 Si 1.62, 1 Al 1.77
O46 0.9259 0.4829 0.1867  2 Si 1.64-1.65
O47 0.9542 0.8762 0.5937  1 Si 1.61, 1 Al 1.74
O48 0.9829 0.2962 0.5570  2 Si 1.64-1.65

***

Arrangement 2

Below is a geometry-optimized KAlSi2O6 structure, with properties calculated at the GGA-PBE level.

## Properties
Symmetry ... C222_1
Total magnetic moment ... 0.0 μB per cell

a = 7.5178 Å, b = 7.5178 Å, c = 10.2834 Å
α = 90.00°, β = 90.00°, γ = 91.95°
With the nearest neighbours (Å) after each atom.
Fractional coordinates of all 40 atoms:
K1 0.2035 0.7965 0.7500  2 O 2.63
K2 0.2963 0.2963 0.0000  4 O 2.69-2.85
K3 0.7037 0.7037 0.5000  4 O 2.69-2.85
K4 0.7965 0.2035 0.2500  2 O 2.63
Al1 0.1420 0.6429 0.4355  4 O 1.75-1.77
Al2 0.3571 0.8580 0.0645  4 O 1.75-1.77
Al3 0.6429 0.1420 0.5645  4 O 1.75-1.77
Al4 0.8580 0.3571 0.9355  4 O 1.75-1.77
Si1 0.0577 0.0577 0.5000  4 O 1.62-1.66
Si2 0.1414 0.3629 0.6855  4 O 1.61-1.66
Si3 0.3629 0.1414 0.3145  4 O 1.61-1.66
Si4 0.4444 0.5556 0.2500  4 O 1.62-1.65
Si5 0.5556 0.4444 0.7500  4 O 1.62-1.65
Si6 0.6371 0.8586 0.8145  4 O 1.61-1.66
Si7 0.8586 0.6371 0.1855  4 O 1.61-1.66
Si8 0.9423 0.9423 0.0000  4 O 1.62-1.66
O1 0.0075 0.3909 0.8068  1 Si 1.62, 1 Al 1.75
O2 0.0933 0.8472 0.5109  1 Si 1.62, 1 Al 1.77
O3 0.1063 0.4953 0.5659  1 Si 1.61, 1 Al 1.76
O4 0.1403 0.1539 0.6336  2 Si 1.66
O5 0.1528 0.9067 0.9891  1 Si 1.62, 1 Al 1.77
O6 0.1539 0.1403 0.3664  2 Si 1.66
O7 0.3379 0.4090 0.7533  2 Si 1.65-1.66
O8 0.3643 0.6352 0.1166  1 Si 1.62, 1 Al 1.76
O9 0.3648 0.6357 0.3834  1 Si 1.62, 1 Al 1.76
O10 0.3909 0.0075 0.1932  1 Si 1.62, 1 Al 1.75
O11 0.4090 0.3379 0.2467  2 Si 1.65-1.66
O12 0.4953 0.1063 0.4341  1 Si 1.61, 1 Al 1.76
O13 0.5047 0.8937 0.9341  1 Si 1.61, 1 Al 1.76
O14 0.5910 0.6621 0.7467  2 Si 1.65-1.66
O15 0.6091 0.9925 0.6932  1 Si 1.62, 1 Al 1.75
O16 0.6352 0.3643 0.8834  1 Si 1.62, 1 Al 1.76
O17 0.6357 0.3648 0.6166  1 Si 1.62, 1 Al 1.76
O18 0.6621 0.5910 0.2533  2 Si 1.65-1.66
O19 0.8461 0.8597 0.8664  2 Si 1.66
O20 0.8472 0.0933 0.4891  1 Si 1.62, 1 Al 1.77
O21 0.8597 0.8461 0.1336  2 Si 1.66
O22 0.8937 0.5047 0.0659  1 Si 1.61, 1 Al 1.76
O23 0.9067 0.1528 0.0109  1 Si 1.62, 1 Al 1.77
O24 0.9925 0.6091 0.3068  1 Si 1.62, 1 Al 1.75

***

Most stable structure, least stable structure: arrangement 1, arrangement 2.

***

Arrangement 1

Below is a geometry-optimized LaAl4 structure, with properties calculated at the GGA-PBE level.

## Properties
Symmetry ... I4/mmm

a = 4.3558 Å, b = 4.3558 Å, c = 11.2396 Å
α = 90.00°, β = 90.00°, γ = 90.00°
With the nearest neighbours (Å) after each atom.
Fractional coordinates of all 10 atoms:
La1 0.0000 0.0000 0.0000  16 Al 3.33-3.56
La2 0.5000 0.5000 0.5000  16 Al 3.33-3.56
Al1 0.0000 0.0000 0.3866  5 Al 2.55-2.66
Al2 0.0000 0.0000 0.6134  5 Al 2.55-2.66
Al3 0.0000 0.5000 0.2500  4 Al 2.66
Al4 0.0000 0.5000 0.7500  4 Al 2.66
Al5 0.5000 0.0000 0.2500  4 Al 2.66
Al6 0.5000 0.0000 0.7500  4 Al 2.66
Al7 0.5000 0.5000 0.1134  5 Al 2.55-2.66
Al8 0.5000 0.5000 0.8866  5 Al 2.55-2.66

***

Arrangement 2

Below is a geometry-optimized LaAl4 structure, with properties calculated at the GGA-PBE level.

## Properties
Symmetry ... Imm2
Total magnetic moment ... 0.0 μB per cell

a = 8.8778 Å, b = 8.8778 Å, c = 8.8778 Å
α = 151.47°, β = 84.75°, γ = 102.30°
With the nearest neighbours (Å) after each atom.
Fractional coordinates of all 15 atoms:
La1 0.0000 0.0000 0.0000  16 Al 3.33-3.67
La2 0.3458 0.0132 0.3326  16 Al 3.34-3.60
La3 0.6807 0.0132 0.6674  16 Al 3.34-3.60
Al1 0.0608 0.3901 0.6707  5 Al 2.57-2.66
Al2 0.0962 0.2569 0.8393  4 Al 2.65-2.66
Al3 0.2641 0.7641 0.5000  4 Al 2.65-2.67
Al4 0.2819 0.6206 0.6613  5 Al 2.57-2.66
Al5 0.4010 0.4010 0.0000  5 Al 2.56-2.67
Al6 0.4177 0.2569 0.1607  4 Al 2.65-2.66
Al7 0.5836 0.7570 0.8266  4 Al 2.64-2.67
Al8 0.6309 0.6309 0.0000  5 Al 2.56-2.67
Al9 0.7195 0.3901 0.3293  5 Al 2.57-2.66
Al10 0.7615 0.2615 0.5000  4 Al 2.63-2.66
Al11 0.9304 0.7570 0.1734  4 Al 2.64-2.67
Al12 0.9593 0.6206 0.3387  5 Al 2.57-2.66

***

Most stable structure, least stable structure: arrangement 1, arrangement 2.

***

Arrangement 1

Below is a geometry-optimized LaMg14Al structure, with properties calculated at the GGA-PBE level.

## Properties
Symmetry ... Amm2
Total magnetic moment ... 0.0 μB per cell

a = 10.3382 Å, b = 6.5674 Å, c = 6.5674 Å
α = 58.61°, β = 90.00°, γ = 90.00°
With the nearest neighbours (Å) after each atom.
Fractional coordinates of all 16 atoms:
La1 0.0000 0.0000 0.0000  2 Al 3.22, 10 Mg 3.28-3.29
Mg1 0.0000 0.0096 0.4936  1 Al 3.05, 8 Mg 3.11-3.32, 2 La 3.28-3.29
Mg2 0.0000 0.4936 0.0096  1 Al 3.05, 8 Mg 3.11-3.32, 2 La 3.28-3.29
Mg3 0.2363 0.6566 0.6566  11 Mg 3.15-3.33, 1 Al 3.17
Mg4 0.2561 0.1646 0.6534  10 Mg 3.13-3.35, 1 Al 3.19, 1 La 3.29
Mg5 0.2561 0.6534 0.1646  10 Mg 3.13-3.35, 1 Al 3.19, 1 La 3.29
Mg6 0.2613 0.1638 0.1638  11 Mg 3.10-3.35, 1 La 3.29
Mg7 0.5000 0.4958 0.4958  12 Mg 3.13-3.31
Mg8 0.5000 0.4976 0.9906  12 Mg 3.10-3.31
Mg9 0.5000 0.9906 0.4976  12 Mg 3.10-3.31
Mg10 0.5000 0.9941 0.9941  12 Mg 3.14-3.30
Mg11 0.7387 0.1638 0.1638  11 Mg 3.10-3.35, 1 La 3.29
Mg12 0.7439 0.1646 0.6534  10 Mg 3.13-3.35, 1 Al 3.19, 1 La 3.29
Mg13 0.7439 0.6534 0.1646  10 Mg 3.13-3.35, 1 Al 3.19, 1 La 3.29
Mg14 0.7637 0.6566 0.6566  11 Mg 3.15-3.33, 1 Al 3.17
Al1 0.0000 0.4807 0.4807  8 Mg 3.05-3.19, 2 La 3.22

***

Arrangement 2

Below is a geometry-optimized LaMg14Al structure, with properties calculated at the GGA-PBE level.

## Properties
Symmetry ... P-6m2
Total magnetic moment ... 0.0 μB per cell

a = 6.5267 Å, b = 6.5267 Å, c = 10.3646 Å
α = 90.00°, β = 90.00°, γ = 120.00°
With the nearest neighbours (Å) after each atom.
Fractional coordinates of all 16 atoms:
La1 0.0000 0.0000 0.0000  12 Mg 3.26-3.29
Mg1 0.0104 0.5052 0.0000  10 Mg 3.16-3.36, 2 La 3.26
Mg2 0.1676 0.3353 0.2591  10 Mg 3.13-3.28, 1 Al 3.13, 1 La 3.29
Mg3 0.1676 0.3353 0.7409  10 Mg 3.13-3.28, 1 Al 3.13, 1 La 3.29
Mg4 0.1676 0.8324 0.2591  10 Mg 3.13-3.28, 1 Al 3.13, 1 La 3.29
Mg5 0.1676 0.8324 0.7409  10 Mg 3.13-3.28, 1 Al 3.13, 1 La 3.29
Mg6 0.4948 0.5052 0.0000  10 Mg 3.16-3.36, 2 La 3.26
Mg7 0.4948 0.9896 0.0000  10 Mg 3.16-3.36, 2 La 3.26
Mg8 0.5012 0.0024 0.5000  10 Mg 3.13-3.29, 2 Al 3.26
Mg9 0.5012 0.4988 0.5000  10 Mg 3.13-3.29, 2 Al 3.26
Mg10 0.6647 0.8324 0.2591  10 Mg 3.13-3.28, 1 Al 3.13, 1 La 3.29
Mg11 0.6647 0.8324 0.7409  10 Mg 3.13-3.28, 1 Al 3.13, 1 La 3.29
Mg12 0.6667 0.3333 0.2434  12 Mg 3.18-3.27
Mg13 0.6667 0.3333 0.7566  12 Mg 3.18-3.27
Mg14 0.9976 0.4988 0.5000  10 Mg 3.13-3.29, 2 Al 3.26
Al1 0.0000 0.0000 0.5000  12 Mg 3.13-3.26

***

Most stable structure, least stable structure: arrangement 1, arrangement 2.